Entry 1:
First-principles (PBE) data for a geometry-optimized InTeBrO3 structure, as listed in the Materials Project database. Values from VASP.

Structure (Quantum ESPRESSO input):
```
&SYSTEM
  ibrav = 0, nat = 24, ntyp = 4
/
ATOMIC_SPECIES
In 114.82 In.upf
Te 127.60 Te.upf
O 16.00 O.upf
Br 79.90 Br.upf
CELL_PARAMETERS angstrom
-6.9369 -1.0235 0.6823
-0.0680 -3.7253 -6.2797
1.4760 -8.2768 2.5902
ATOMIC_POSITIONS crystal
In 0.2495 0.2030 0.6715
Te 0.7766 0.4473 0.6934
O 0.4453 0.2525 0.3248
Te 0.2766 0.0527 0.3066
Br 0.7946 0.1125 0.0912
O 0.9453 0.2475 0.6752
O 0.7179 0.5084 0.4708
O 0.0534 0.3452 0.3210
O 0.9466 0.6548 0.6790
O 0.0547 0.7525 0.3248
Br 0.2946 0.3875 0.9088
Br 0.2054 0.8875 0.9088
Te 0.7234 0.9473 0.6934
O 0.5547 0.7475 0.6752
O 0.4466 0.8452 0.3210
Te 0.2234 0.5527 0.3066
In 0.7505 0.7970 0.3285
O 0.2821 0.4916 0.5292
O 0.2179 0.9916 0.5292
In 0.2505 0.7030 0.6715
In 0.7495 0.2970 0.3285
O 0.7821 0.0084 0.4708
O 0.5534 0.1548 0.6790
Br 0.7054 0.6125 0.0912
```

The total energy is -29.3 eV per formula unit. As for the energy of formation: -1.501 eV/atom. The total moment comes out at 0.00 μB/atom. For the mass density, the calculation gives 5.58 g cm⁻³.

---

Entry 2:
First-principles (PBE) data for a geometry-optimized Rb3InBr6 structure, as listed in the Materials Project database. Values from VASP.

Structure (Quantum ESPRESSO input):
```
&SYSTEM
  ibrav = 0, nat = 10, ntyp = 3
/
ATOMIC_SPECIES
Br 79.90 Br.upf
Rb 85.47 Rb.upf
In 114.82 In.upf
CELL_PARAMETERS angstrom
0.0000 5.9519 5.9519
5.9519 0.0000 5.9519
5.9519 5.9519 0.0000
ATOMIC_POSITIONS crystal
Br 0.7729 0.2271 0.2271
Rb 0.7500 0.7500 0.7500
Br 0.7729 0.2271 0.7729
Br 0.2271 0.7729 0.7729
Br 0.2271 0.7729 0.2271
Rb 0.5000 0.5000 0.5000
In 0.0000 0.0000 0.0000
Br 0.2271 0.2271 0.7729
Br 0.7729 0.7729 0.2271
Rb 0.2500 0.2500 0.2500
```

The total energy is -29.2 eV per formula unit. As for the energy of formation: -1.686 eV/atom. The total moment comes out at 0.00 μB/atom. For the mass density, the calculation gives 3.35 g cm⁻³.

---

Entry 3:
First-principles (PBE) data for a geometry-optimized Rb2ScInBr6 structure, as listed in the Materials Project database. Values from VASP.

Structure (Quantum ESPRESSO input):
```
&SYSTEM
  ibrav = 0, nat = 10, ntyp = 4
/
ATOMIC_SPECIES
Br 79.90 Br.upf
Rb 85.47 Rb.upf
Sc 44.96 Sc.upf
In 114.82 In.upf
CELL_PARAMETERS angstrom
-6.8284 1.6491 4.2699
-2.3800 7.7916 1.0980
-6.6774 2.8413 -3.8624
ATOMIC_POSITIONS crystal
Br 0.2293 0.7707 0.7707
Br 0.2293 0.2293 0.7707
Rb 0.2500 0.2500 0.2500
Br 0.2293 0.7707 0.2293
Br 0.7707 0.2293 0.2293
Br 0.7707 0.2293 0.7707
Rb 0.7500 0.7500 0.7500
Sc 0.0000 0.0000 0.0000
In 0.5000 0.5000 0.5000
Br 0.7707 0.7707 0.2293
```

The total energy is -36.2 eV per formula unit. As for the energy of formation: -1.850 eV/atom. The total moment comes out at 0.00 μB/atom. For the mass density, the calculation gives 3.42 g cm⁻³.

---

Entry 4:
First-principles (PBE) data for a geometry-optimized InSb2Se4Br structure, as listed in the Materials Project database. Values from VASP.

Structure (Quantum ESPRESSO input):
```
&SYSTEM
  ibrav = 0, nat = 16, ntyp = 4
/
ATOMIC_SPECIES
Sb 121.76 Sb.upf
Br 79.90 Br.upf
Se 78.96 Se.upf
In 114.82 In.upf
CELL_PARAMETERS angstrom
2.0296 10.6607 0.0000
-2.0296 10.6607 0.0000
0.0000 6.0610 10.8598
ATOMIC_POSITIONS crystal
Sb 0.0490 0.0490 0.2193
Br 0.1033 0.1033 0.4718
Br 0.8967 0.8967 0.5282
Se 0.0993 0.0993 0.9775
In 0.3367 0.3367 0.4399
Sb 0.9510 0.9510 0.7807
In 0.6633 0.6633 0.5601
Se 0.5373 0.5373 0.7823
Se 0.7887 0.7887 0.3458
Sb 0.2961 0.2961 0.0903
Se 0.6795 0.6795 0.1390
Sb 0.7039 0.7039 0.9097
Se 0.4627 0.4627 0.2177
Se 0.9007 0.9007 0.0225
Se 0.3205 0.3205 0.8610
Se 0.2113 0.2113 0.6542
```

The total energy is -29.9 eV per formula unit. As for the energy of formation: -0.474 eV/atom. The total moment comes out at 0.00 μB/atom. For the mass density, the calculation gives 5.33 g cm⁻³.

---

Entry 5:
First-principles (PBE) data for a geometry-optimized In5Se5Br structure, as listed in the Materials Project database. Values from VASP.

Structure (Quantum ESPRESSO input):
```
&SYSTEM
  ibrav = 0, nat = 22, ntyp = 3
/
ATOMIC_SPECIES
In 114.82 In.upf
Se 78.96 Se.upf
Br 79.90 Br.upf
CELL_PARAMETERS angstrom
-2.8859 1.7905 2.4302
-6.8730 -3.4863 -5.5930
-0.6047 -12.8803 8.7717
ATOMIC_POSITIONS crystal
In 0.5000 0.1928 0.3037
In 0.0000 0.8937 0.4053
Se 0.5000 0.0706 0.4596
In 0.0000 0.8072 0.8037
In 0.5000 0.8541 0.1106
Se 0.0000 0.9294 0.9596
Br 0.5000 0.5915 0.9569
In 0.0000 0.5220 0.7540
In 0.5000 0.6054 0.5232
Se 0.5000 0.7059 0.3592
Se 0.0000 0.2941 0.8592
Se 0.0000 0.5732 0.1590
Se 0.0000 0.0334 0.2495
In 0.0000 0.1459 0.6106
Se 0.0000 0.7737 0.5678
In 0.5000 0.1063 0.9053
Se 0.5000 0.9666 0.7495
In 0.5000 0.4780 0.2540
Se 0.5000 0.2263 0.0678
Se 0.5000 0.4268 0.6590
Br 0.0000 0.4085 0.4569
In 0.0000 0.3946 0.0232
```

The total energy is -38.7 eV per formula unit. As for the energy of formation: -0.575 eV/atom. The total moment comes out at 0.00 μB/atom. The calculation puts the largest piezoelectric modulus at 1.0 C/m². For the mass density, the calculation gives 5.62 g cm⁻³.

---

Entry 6:
First-principles (PBE) data for a geometry-optimized InSnBr3 structure, as listed in the Materials Project database. Values from VASP.

Structure (Quantum ESPRESSO input):
```
&SYSTEM
  ibrav = 0, nat = 40, ntyp = 3
/
ATOMIC_SPECIES
In 114.82 In.upf
Br 79.90 Br.upf
Sn 118.71 Sn.upf
CELL_PARAMETERS angstrom
-7.9504 0.6828 9.6864
-11.2082 4.2925 -1.2137
-8.9421 -7.8163 1.1833
ATOMIC_POSITIONS crystal
In 0.1425 0.8561 0.5231
Br 0.1992 0.5629 0.1646
Sn 0.6492 0.6492 0.3508
Sn 0.8436 0.1489 0.8511
Br 0.1870 0.1870 0.8130
In 0.5012 0.0014 0.9986
Br 0.4200 0.9386 0.3522
Sn 0.3686 0.3686 0.6314
Sn 0.1489 0.8436 0.1564
Br 0.9268 0.8354 0.4371
Br 0.8773 0.1404 0.1227
Sn 0.2517 0.2517 0.2483
Sn 0.7517 0.7517 0.7483
Br 0.8079 0.4327 0.8434
Br 0.6922 0.3128 0.6872
In 0.0185 0.6486 0.9815
Br 0.6478 0.7107 0.5800
Br 0.1404 0.8773 0.8596
Br 0.5671 0.0610 0.6628
Br 0.8354 0.9268 0.8008
Br 0.5629 0.1992 0.0732
Sn 0.3333 0.9895 0.6667
Sn 0.9895 0.3333 0.0105
Br 0.3372 0.2908 0.4329
Br 0.9386 0.4200 0.2893
In 0.8561 0.1425 0.4783
Br 0.8120 0.8120 0.1880
In 0.4769 0.5217 0.8575
Br 0.3128 0.6922 0.3078
Br 0.0610 0.5671 0.7092
Br 0.3826 0.6134 0.6174
Br 0.6134 0.3826 0.3866
Br 0.4327 0.8079 0.9159
Br 0.2908 0.3372 0.9390
In 0.0014 0.5012 0.4988
In 0.6486 0.0185 0.3514
Br 0.0841 0.1566 0.5673
Br 0.1566 0.0841 0.1921
In 0.5217 0.4769 0.1439
Br 0.7107 0.6478 0.0614
```

The total energy is -15.2 eV per formula unit. As for the energy of formation: -1.016 eV/atom. The total moment comes out at 0.00 μB/atom. For the mass density, the calculation gives 4.94 g cm⁻³.

---

Entry 7:
First-principles (PBE) data for a geometry-optimized InSnBr3 structure, as listed in the Materials Project database. Values from VASP.

Structure (Quantum ESPRESSO input):
```
&SYSTEM
  ibrav = 0, nat = 5, ntyp = 3
/
ATOMIC_SPECIES
Br 79.90 Br.upf
Sn 118.71 Sn.upf
In 114.82 In.upf
CELL_PARAMETERS angstrom
-3.0149 2.2557 4.5848
-0.7644 -5.4111 2.3775
4.8800 0.2619 3.4563
ATOMIC_POSITIONS crystal
Br 0.9928 0.4785 0.4495
Br 0.4777 0.9768 0.4413
Sn 0.4879 0.4957 0.4801
Br 0.4620 0.4537 0.9514
In 0.0796 0.1053 0.1176
```

The total energy is -15.3 eV per formula unit. As for the energy of formation: -1.049 eV/atom. The total moment comes out at 0.00 μB/atom. For the mass density, the calculation gives 3.73 g cm⁻³.